[1]
This record from the Materials Project describes crystalline K2CoHgF6 at its relaxed geometry. The functional is PBE+U.

a = 6.1540 Å, b = 6.1540 Å, c = 6.1540 Å
α = 60.00°, β = 60.00°, γ = 60.00°
Element x y z (fractional)
1 K 0.2500 0.2500 0.2500
2 K 0.7500 0.7500 0.7500
3 Co 0.0000 0.0000 0.0000
4 Hg 0.5000 0.5000 0.5000
5 F 0.2335 0.2335 0.7665
6 F 0.2335 0.7665 0.2335
7 F 0.2335 0.7665 0.7665
8 F 0.7665 0.2335 0.2335
9 F 0.7665 0.2335 0.7665
10 F 0.7665 0.7665 0.2335

- Total DFT energy (no corrections): -3.945 eV per atom
- Corrected total energy (MP2020 scheme): -4.39 eV per atom
- Energy of formation: -2274 meV per atom

=====

[2]
This record from the Materials Project describes crystalline Li3Mn2P3O12 at its relaxed geometry. The functional is PBE+U.

a = 8.7789 Å, b = 8.7789 Å, c = 6.1925 Å
α = 105.00°, β = 105.00°, γ = 99.30°
Element x y z (fractional)
1 Li 0.0000 0.0000 0.0000
2 Li 0.0000 0.0000 0.5000
3 Li 0.1984 0.8016 0.7500
4 Li 0.4820 0.5180 0.7500
5 Li 0.5180 0.4820 0.2500
6 Li 0.8016 0.1984 0.2500
7 Mn 0.1361 0.4456 0.8796
8 Mn 0.4456 0.1361 0.3796
9 Mn 0.5544 0.8639 0.6204
10 Mn 0.8639 0.5544 0.1204
11 P 0.1710 0.3620 0.3689
12 P 0.2085 0.7915 0.2500
13 P 0.3620 0.1710 0.8689
14 P 0.6380 0.8290 0.1311
15 P 0.7915 0.2085 0.7500
16 P 0.8290 0.6380 0.6311
17 O 0.0329 0.7574 0.2664
18 O 0.0512 0.1979 0.2927
19 O 0.1218 0.4514 0.1817
20 O 0.1648 0.4813 0.6022
21 O 0.1979 0.0512 0.7927
22 O 0.2263 0.6814 0.0204
23 O 0.2426 0.9671 0.2336
24 O 0.3186 0.7737 0.4796
25 O 0.3532 0.3558 0.4120
26 O 0.3558 0.3532 0.9120
27 O 0.4514 0.1218 0.6817
28 O 0.4813 0.1648 0.1022
29 O 0.5187 0.8352 0.8978
30 O 0.5486 0.8782 0.3183
31 O 0.6442 0.6468 0.0880
32 O 0.6468 0.6442 0.5880
33 O 0.6814 0.2263 0.5204
34 O 0.7574 0.0329 0.7664
35 O 0.7737 0.3186 0.9796
36 O 0.8021 0.9488 0.2073
37 O 0.8352 0.5187 0.3978
38 O 0.8782 0.5486 0.8183
39 O 0.9488 0.8021 0.7073
40 O 0.9671 0.2426 0.7336

- Total DFT energy (no corrections): -6.949 eV per atom
- Corrected total energy (MP2020 scheme): -7.53 eV per atom
- Energy relative to the lowest polymorph listed for this composition: 0.019 eV/atom
- Energy of formation: -2544 meV per atom